Entry 1:
A plane-wave DFT calculation with PBE-GGA was carried out for a relaxed structure of EuB2H8.

a = 6.980 Å, b = 8.213 Å, c = 7.485 Å
α = 90.00°, β = 90.00°, γ = 90.00°
Element x y z (fractional)
1 Eu 0.000 0.175 0.250
2 Eu 0.000 0.825 0.750
3 Eu 0.500 0.325 0.750
4 Eu 0.500 0.675 0.250
5 B 0.245 0.382 0.074
6 B 0.245 0.618 0.574
7 B 0.255 0.118 0.574
8 B 0.255 0.882 0.074
9 B 0.745 0.118 0.926
10 B 0.745 0.882 0.426
11 B 0.755 0.382 0.426
12 B 0.755 0.618 0.926
13 H 0.138 0.322 0.961
14 H 0.138 0.678 0.461
15 H 0.141 0.026 0.500
16 H 0.141 0.974 0.000
17 H 0.149 0.463 0.178
18 H 0.149 0.537 0.678
19 H 0.167 0.225 0.653
20 H 0.167 0.775 0.153
21 H 0.333 0.275 0.153
22 H 0.333 0.725 0.653
23 H 0.351 0.037 0.678
24 H 0.351 0.963 0.178
25 H 0.359 0.474 0.000
26 H 0.359 0.526 0.500
27 H 0.362 0.178 0.461
28 H 0.362 0.822 0.961
29 H 0.638 0.178 0.039
30 H 0.638 0.822 0.539
31 H 0.641 0.474 0.500
32 H 0.641 0.526 0.000
33 H 0.649 0.037 0.822
34 H 0.649 0.963 0.322
35 H 0.667 0.275 0.347
36 H 0.667 0.725 0.847
37 H 0.833 0.225 0.847
38 H 0.833 0.775 0.347
39 H 0.851 0.463 0.322
40 H 0.851 0.537 0.822
41 H 0.859 0.026 0.000
42 H 0.859 0.974 0.500
43 H 0.862 0.322 0.539
44 H 0.862 0.678 0.039

Results
- Energy relative to the lowest polymorph listed for this composition: 0.013 eV/atom
- Energy relative to the elements: -0.462 eV/atom
- DFT total energy: -4.9456 eV per atom
- Calculated volume: 9.752 Å³/atom

Entry 2:
A plane-wave DFT calculation with PBE-GGA was carried out for a relaxed structure of MgBi4O8.

a = 6.344 Å, b = 6.376 Å, c = 6.495 Å
α = 109.96°, β = 112.30°, γ = 104.79°
Element x y z (fractional)
1 Mg 0.000 0.000 0.000
2 Bi 0.004 0.502 0.005
3 Bi 0.299 0.995 0.724
4 Bi 0.501 0.498 0.504
5 Bi 0.708 0.006 0.283
6 O 0.002 0.840 0.241
7 O 0.005 0.167 0.765
8 O 0.045 0.340 0.254
9 O 0.403 0.139 0.140
10 O 0.422 0.692 0.247
11 O 0.585 0.315 0.769
12 O 0.599 0.857 0.863
13 O 0.953 0.657 0.746

Results
- Energy relative to the lowest polymorph listed for this composition: 0.000 eV/atom
- Energy relative to the elements: -1.736 eV/atom
- DFT total energy: -5.6784 eV per atom
- Calculated volume: 15.761 Å³/atom

Entry 3:
A plane-wave DFT calculation with PBE-GGA was carried out for a relaxed structure of CsLiMg14.

a = 10.886 Å, b = 6.578 Å, c = 6.578 Å
α = 58.64°, β = 90.00°, γ = 90.00°
Element x y z (fractional)
1 Cs 0.000 0.000 0.000
2 Li 0.000 0.497 0.497
3 Mg 0.000 0.000 0.497
4 Mg 0.000 0.497 0.000
5 Mg 0.247 0.663 0.663
6 Mg 0.268 0.170 0.170
7 Mg 0.269 0.168 0.653
8 Mg 0.269 0.653 0.168
9 Mg 0.500 0.499 0.499
10 Mg 0.500 0.499 0.996
11 Mg 0.500 0.996 0.499
12 Mg 0.500 0.999 0.999
13 Mg 0.731 0.168 0.653
14 Mg 0.731 0.653 0.168
15 Mg 0.732 0.170 0.170
16 Mg 0.753 0.663 0.663

Results
- Energy relative to the lowest polymorph listed for this composition: 0.000 eV/atom
- Energy relative to the elements: 0.158 eV/atom
- DFT total energy: -1.4179 eV per atom
- Calculated volume: 25.138 Å³/atom

Entry 4:
A plane-wave DFT calculation with PBE-GGA was carried out for a relaxed structure of TiCrAgS4.

a = 3.475 Å, b = 11.266 Å, c = 12.875 Å
α = 90.00°, β = 90.00°, γ = 90.00°
Element x y z (fractional)
1 Ti 0.000 0.178 0.000
2 Ti 0.000 0.200 0.529
3 Ti 0.500 0.800 0.029
4 Ti 0.500 0.822 0.500
5 Cr 0.000 0.663 0.322
6 Cr 0.000 0.691 0.800
7 Cr 0.500 0.309 0.300
8 Cr 0.500 0.337 0.822
9 Ag 0.000 0.496 0.601
10 Ag 0.000 0.999 0.731
11 Ag 0.500 0.001 0.231
12 Ag 0.500 0.504 0.101
13 S 0.000 0.167 0.341
14 S 0.000 0.285 0.703
15 S 0.000 0.377 0.945
16 S 0.000 0.452 0.260
17 S 0.000 0.658 0.981
18 S 0.000 0.786 0.626
19 S 0.000 0.869 0.374
20 S 0.000 0.950 0.059
21 S 0.500 0.050 0.559
22 S 0.500 0.131 0.874
23 S 0.500 0.214 0.126
24 S 0.500 0.342 0.481
25 S 0.500 0.548 0.760
26 S 0.500 0.623 0.445
27 S 0.500 0.715 0.203
28 S 0.500 0.833 0.841

Results
- Energy relative to the lowest polymorph listed for this composition: 0.082 eV/atom
- Energy relative to the elements: -1.024 eV/atom
- DFT total energy: -6.0123 eV per atom
- Calculated volume: 18.001 Å³/atom

Entry 5:
A plane-wave DFT calculation with PBE-GGA was carried out for a relaxed structure of LiSnP4O12.

a = 7.006 Å, b = 8.811 Å, c = 7.770 Å
α = 90.00°, β = 90.52°, γ = 90.00°
Element x y z (fractional)
1 Li 0.204 0.000 0.139
2 Li 0.796 0.500 0.861
3 Sn 0.262 0.663 0.727
4 Sn 0.738 0.163 0.273
5 P 0.057 0.002 0.594
6 P 0.100 0.368 0.085
7 P 0.415 0.194 0.613
8 P 0.493 0.976 0.906
9 P 0.507 0.476 0.094
10 P 0.585 0.694 0.387
11 P 0.900 0.868 0.915
12 P 0.943 0.502 0.406
13 O 0.041 0.415 0.909
14 O 0.042 0.501 0.219
15 O 0.045 0.213 0.155
16 O 0.096 0.531 0.539
17 O 0.173 0.860 0.566
18 O 0.188 0.149 0.614
19 O 0.318 0.875 0.906
20 O 0.327 0.368 0.100
21 O 0.444 0.340 0.701
22 O 0.480 0.167 0.429
23 O 0.486 0.556 0.276
24 O 0.492 0.082 0.058
25 O 0.508 0.582 0.942
26 O 0.514 0.056 0.724
27 O 0.520 0.667 0.571
28 O 0.556 0.840 0.299
29 O 0.673 0.868 0.900
30 O 0.682 0.375 0.094
31 O 0.812 0.649 0.386
32 O 0.827 0.360 0.434
33 O 0.904 0.031 0.461
34 O 0.955 0.713 0.845
35 O 0.958 0.001 0.781
36 O 0.959 0.915 0.091

Results
- Energy relative to the lowest polymorph listed for this composition: 0.051 eV/atom
- Energy relative to the elements: -2.451 eV/atom
- DFT total energy: -6.8231 eV per atom
- Calculated volume: 13.321 Å³/atom

Entry 6:
A plane-wave DFT calculation with PBE-GGA was carried out for a relaxed structure of Na3Li4Th6F31.

a = 9.962 Å, b = 9.962 Å, c = 13.465 Å
α = 90.00°, β = 90.00°, γ = 120.00°
Element x y z (fractional)
1 Na 0.000 0.000 0.000
2 Na 0.000 0.000 0.500
3 Na 0.333 0.667 0.134
4 Na 0.333 0.667 0.634
5 Na 0.667 0.333 0.330
6 Na 0.667 0.333 0.830
7 Li 0.000 0.000 0.238
8 Li 0.000 0.000 0.738
9 Li 0.049 0.287 0.188
10 Li 0.049 0.762 0.688
11 Li 0.238 0.287 0.688
12 Li 0.238 0.951 0.188
13 Li 0.713 0.762 0.188
14 Li 0.713 0.951 0.688
15 Th 0.079 0.396 0.877
16 Th 0.079 0.683 0.377
17 Th 0.317 0.396 0.377
18 Th 0.317 0.921 0.877
19 Th 0.411 0.086 0.583
20 Th 0.411 0.325 0.083
21 Th 0.604 0.683 0.877
22 Th 0.604 0.921 0.377
23 Th 0.675 0.086 0.083
24 Th 0.675 0.589 0.583
25 Th 0.914 0.325 0.583
26 Th 0.914 0.589 0.083
27 F 0.094 0.199 0.310
28 F 0.094 0.894 0.810
29 F 0.106 0.199 0.810
30 F 0.106 0.906 0.310
31 F 0.117 0.305 0.501
32 F 0.117 0.811 0.001
33 F 0.130 0.546 0.023
34 F 0.130 0.584 0.523
35 F 0.140 0.425 0.687
36 F 0.140 0.715 0.187
37 F 0.166 0.511 0.331
38 F 0.166 0.655 0.831
39 F 0.187 0.081 0.641
40 F 0.187 0.107 0.141
41 F 0.189 0.305 0.001
42 F 0.189 0.883 0.501
43 F 0.285 0.425 0.187
44 F 0.285 0.860 0.687
45 F 0.310 0.121 0.960
46 F 0.310 0.189 0.460
47 F 0.345 0.511 0.831
48 F 0.345 0.834 0.331
49 F 0.416 0.546 0.523
50 F 0.416 0.870 0.023
51 F 0.443 0.130 0.761
52 F 0.443 0.313 0.261
53 F 0.446 0.094 0.139
54 F 0.446 0.352 0.639
55 F 0.454 0.584 0.023
56 F 0.454 0.870 0.523
57 F 0.489 0.655 0.331
58 F 0.489 0.834 0.831
59 F 0.535 0.116 0.428
60 F 0.535 0.419 0.928
61 F 0.575 0.715 0.687
62 F 0.575 0.860 0.187
63 F 0.581 0.116 0.928
64 F 0.581 0.465 0.428
65 F 0.648 0.094 0.639
66 F 0.648 0.554 0.139
67 F 0.667 0.333 0.071
68 F 0.667 0.333 0.571
69 F 0.687 0.130 0.261
70 F 0.687 0.557 0.761
71 F 0.695 0.811 0.501
72 F 0.695 0.883 0.001
73 F 0.801 0.894 0.310
74 F 0.801 0.906 0.810
75 F 0.811 0.121 0.460
76 F 0.811 0.690 0.960
77 F 0.870 0.313 0.761
78 F 0.870 0.557 0.261
79 F 0.879 0.189 0.960
80 F 0.879 0.690 0.460
81 F 0.884 0.419 0.428
82 F 0.884 0.465 0.928
83 F 0.893 0.081 0.141
84 F 0.893 0.813 0.641
85 F 0.906 0.352 0.139
86 F 0.906 0.554 0.639
87 F 0.919 0.107 0.641
88 F 0.919 0.813 0.141

Results
- Energy relative to the elements: -4.049 eV/atom
- DFT total energy: -6.3470 eV per atom
- Calculated volume: 13.151 Å³/atom

Entry 7:
A plane-wave DFT calculation with PBE-GGA was carried out for a relaxed structure of RbLiMg6.

a = 5.310 Å, b = 7.036 Å, c = 11.880 Å
α = 90.00°, β = 90.00°, γ = 90.00°
Element x y z (fractional)
1 Mg 0.000 0.218 0.070
2 Mg 0.500 0.749 0.921
3 Mg 0.500 0.249 0.421
4 Mg 0.500 0.500 0.663
5 Mg 0.500 0.251 0.921
6 Mg 0.000 0.782 0.070
7 Mg 0.500 0.000 0.163
8 Mg 0.000 0.718 0.570
9 Mg 0.000 0.000 0.332
10 Mg 0.500 0.751 0.421
11 Mg 0.000 0.500 0.832
12 Mg 0.000 0.282 0.570
13 Li 0.000 0.000 0.849
14 Li 0.000 0.500 0.349
15 Rb 0.500 0.500 0.174
16 Rb 0.500 0.000 0.674

Results
- Energy relative to the lowest polymorph listed for this composition: 0.000 eV/atom
- Energy relative to the elements: 0.215 eV/atom
- DFT total energy: -1.3459 eV per atom
- Calculated volume: 27.737 Å³/atom

Entry 8:
A plane-wave DFT calculation with PBE-GGA was carried out for a relaxed structure of TaMo.

a = 2.846 Å, b = 2.846 Å, c = 4.477 Å
α = 90.00°, β = 90.00°, γ = 110.38°
Element x y z (fractional)
1 Ta 0.000 0.000 0.000
2 Mo 0.500 0.500 0.500

Results
- Energy relative to the elements: -0.107 eV/atom
- DFT total energy: -11.4589 eV per atom
- Calculated volume: 17.000 Å³/atom

Entry 9:
A plane-wave DFT calculation with PBE-GGA was carried out for a relaxed structure of Sr9La5Br33.

a = 11.976 Å, b = 12.018 Å, c = 22.847 Å
α = 99.57°, β = 100.04°, γ = 109.10°
Element x y z (fractional)
1 Sr 0.026 0.479 0.306
2 Sr 0.181 0.411 0.531
3 Sr 0.181 0.902 0.040
4 Sr 0.255 0.367 0.122
5 Sr 0.261 0.855 0.621
6 Sr 0.366 0.279 0.342
7 Sr 0.367 0.766 0.838
8 Sr 0.422 0.748 0.430
9 Sr 0.428 0.254 0.937
10 Sr 0.572 0.746 0.063
11 Sr 0.578 0.252 0.570
12 Sr 0.633 0.234 0.162
13 Sr 0.634 0.721 0.658
14 Sr 0.739 0.145 0.379
15 Sr 0.745 0.633 0.878
16 Sr 0.819 0.098 0.960
17 Sr 0.819 0.589 0.469
18 Sr 0.974 0.521 0.694
19 La 0.037 0.960 0.814
20 La 0.120 0.456 0.914
21 La 0.127 0.956 0.427
22 La 0.322 0.360 0.735
23 La 0.357 0.853 0.234
24 La 0.643 0.147 0.766
25 La 0.678 0.640 0.265
26 La 0.873 0.044 0.573
27 La 0.880 0.544 0.086
28 La 0.963 0.040 0.186
29 Br 0.023 0.378 0.029
30 Br 0.031 0.886 0.538
31 Br 0.053 0.109 0.073
32 Br 0.053 0.314 0.760
33 Br 0.055 0.606 0.572
34 Br 0.074 0.066 0.321
35 Br 0.087 0.619 0.835
36 Br 0.106 0.196 0.912
37 Br 0.124 0.705 0.418
38 Br 0.145 0.206 0.616
39 Br 0.155 0.298 0.237
40 Br 0.155 0.687 0.125
41 Br 0.159 0.815 0.738
42 Br 0.207 0.003 0.190
43 Br 0.238 0.547 0.694
44 Br 0.255 0.142 0.792
45 Br 0.255 0.461 0.407
46 Br 0.256 0.965 0.909
47 Br 0.271 0.638 0.287
48 Br 0.304 0.220 0.471
49 Br 0.313 0.727 0.976
50 Br 0.324 0.959 0.357
51 Br 0.344 0.491 0.864
52 Br 0.346 0.459 0.014
53 Br 0.356 0.969 0.519
54 Br 0.377 0.181 0.063
55 Br 0.387 0.684 0.560
56 Br 0.420 0.142 0.675
57 Br 0.441 0.428 0.624
58 Br 0.445 0.649 0.172
59 Br 0.449 0.934 0.125
60 Br 0.463 0.376 0.224
61 Br 0.477 0.873 0.724
62 Br 0.523 0.127 0.276
63 Br 0.537 0.624 0.776
64 Br 0.551 0.066 0.875
65 Br 0.555 0.351 0.828
66 Br 0.559 0.572 0.376
67 Br 0.580 0.858 0.325
68 Br 0.613 0.316 0.440
69 Br 0.623 0.819 0.937
70 Br 0.644 0.031 0.481
71 Br 0.654 0.541 0.986
72 Br 0.656 0.509 0.136
73 Br 0.676 0.041 0.643
74 Br 0.687 0.273 0.024
75 Br 0.696 0.780 0.529
76 Br 0.729 0.362 0.713
77 Br 0.744 0.035 0.091
78 Br 0.745 0.539 0.593
79 Br 0.745 0.858 0.208
80 Br 0.762 0.453 0.306
81 Br 0.793 0.997 0.810
82 Br 0.841 0.185 0.262
83 Br 0.845 0.313 0.875
84 Br 0.845 0.702 0.763
85 Br 0.855 0.794 0.384
86 Br 0.876 0.295 0.582
87 Br 0.894 0.804 0.088
88 Br 0.913 0.381 0.165
89 Br 0.926 0.934 0.679
90 Br 0.945 0.394 0.428
91 Br 0.947 0.686 0.240
92 Br 0.947 0.891 0.927
93 Br 0.969 0.114 0.462
94 Br 0.977 0.622 0.971

Results
- Energy relative to the elements: -2.428 eV/atom
- DFT total energy: -4.0507 eV per atom
- Calculated volume: 31.598 Å³/atom

Please write out number 2 again, unchanged.
A plane-wave DFT calculation with PBE-GGA was carried out for a relaxed structure of MgBi4O8.

a = 6.344 Å, b = 6.376 Å, c = 6.495 Å
α = 109.96°, β = 112.30°, γ = 104.79°
Element x y z (fractional)
1 Mg 0.000 0.000 0.000
2 Bi 0.004 0.502 0.005
3 Bi 0.299 0.995 0.724
4 Bi 0.501 0.498 0.504
5 Bi 0.708 0.006 0.283
6 O 0.002 0.840 0.241
7 O 0.005 0.167 0.765
8 O 0.045 0.340 0.254
9 O 0.403 0.139 0.140
10 O 0.422 0.692 0.247
11 O 0.585 0.315 0.769
12 O 0.599 0.857 0.863
13 O 0.953 0.657 0.746

Results
- Energy relative to the lowest polymorph listed for this composition: 0.000 eV/atom
- Energy relative to the elements: -1.736 eV/atom
- DFT total energy: -5.6784 eV per atom
- Calculated volume: 15.761 Å³/atom

> The lowest energy relative to the elements belongs to which entry?

Na3Li4Th6F31

> Which formula does entry 3 have?

CsLiMg14

> Look up the DFT total energy of the third one.

-1.4179 eV per atom